Entry from the Materials Project: a relaxed structure of CsNaGe2 (PBE).

Properties
Calculated formation energy, meV/atom: -193
Symmetry: No. 14

```
CsNaGe2
1.0
-0.716 -5.564 -8.105
7.364 -3.971 2.076
-2.297 -10.854 7.654
Cs Na Ge
8 8 16
Cartesian
2.280 -10.435 -4.804
2.889 -7.104 -1.151
2.072 -9.954 6.430
1.463 -13.285 2.777
2.451 -14.214 7.096
0.818 -11.091 -0.898
1.901 -6.175 -5.470
3.534 -9.298 2.524
-0.584 -5.069 2.337
5.048 -14.181 2.869
-1.537 -9.250 6.059
-1.948 -12.168 3.727
4.936 -15.320 -0.711
6.300 -8.221 -2.101
-0.696 -6.208 -1.243
5.889 -11.139 -4.433
3.032 -16.573 3.944
-1.000 -12.387 6.616
0.026 -7.908 1.409
4.325 -12.481 0.217
4.506 -10.511 -1.449
1.080 -3.780 0.226
-0.154 -9.878 3.075
3.272 -16.609 1.400
-0.963 -8.389 -3.468
1.320 -3.816 -2.318
3.963 -12.840 -2.350
-2.073 -13.517 0.794
5.315 -12.000 5.094
6.425 -6.872 0.832
5.352 -8.002 -4.991
0.389 -7.549 3.976
```